# ZrPRh | the Materials Project | PBE-GGA | relaxed
# **Density**: 8.03 Mg/m³
# **Energy relative to the elements**: -370 kJ/mol of formula units
# **Final energy**: -8.3865 eV/atom
data_ZrPRh
_cell_length_a 6.537
_cell_length_b 3.818
_cell_length_c 7.459
_cell_angle_alpha 90.00
_cell_angle_beta 90.00
_cell_angle_gamma 90.00
_space_group_name_H-M_alt 'P 1'
_space_group_IT_number 1
loop_
_space_group_symop_operation_xyz
'x,y,z'
loop_
_atom_site_label
_atom_site_type_symbol
_atom_site_fract_x
_atom_site_fract_y
_atom_site_fract_z
Zr1 Zr 0.027 0.250 0.180
Zr2 Zr 0.473 0.750 0.680
Zr3 Zr 0.527 0.250 0.320
Zr4 Zr 0.973 0.750 0.820
P1 P 0.239 0.750 0.378
P2 P 0.261 0.250 0.878
P3 P 0.739 0.750 0.122
P4 P 0.761 0.250 0.622
Rh1 Rh 0.144 0.250 0.562
Rh2 Rh 0.356 0.750 0.062
Rh3 Rh 0.644 0.250 0.938
Rh4 Rh 0.856 0.750 0.438

# P2Ru | the Materials Project | PBE-GGA | relaxed
# **Density**: 6.12 Mg/m³
# **Energy relative to the elements**: -176 kJ/mol of formula units
# **Final energy**: -7.3096 eV/atom
data_P2Ru
_cell_length_a 5.142
_cell_length_b 5.927
_cell_length_c 2.904
_cell_angle_alpha 90.00
_cell_angle_beta 90.00
_cell_angle_gamma 90.00
_space_group_name_H-M_alt 'P 1'
_space_group_IT_number 1
loop_
_space_group_symop_operation_xyz
'x,y,z'
loop_
_atom_site_label
_atom_site_type_symbol
_atom_site_fract_x
_atom_site_fract_y
_atom_site_fract_z
P1 P 0.162 0.127 0.000
P2 P 0.338 0.627 0.500
P3 P 0.662 0.373 0.500
P4 P 0.838 0.873 0.000
Ru1 Ru 0.000 0.500 0.000
Ru2 Ru 0.500 0.000 0.500

# P4Ru | the Materials Project | PBE-GGA | relaxed
# **Density**: 4.73 Mg/m³
# **Energy relative to the elements**: -216 kJ/mol of formula units
# **Final energy**: -6.6327 eV/atom
data_P4Ru
_cell_length_a 4.746
_cell_length_b 7.202
_cell_length_c 7.580
_cell_angle_alpha 111.19
_cell_angle_beta 90.36
_cell_angle_gamma 100.44
_space_group_name_H-M_alt 'P 1'
_space_group_IT_number 1
loop_
_space_group_symop_operation_xyz
'x,y,z'
loop_
_atom_site_label
_atom_site_type_symbol
_atom_site_fract_x
_atom_site_fract_y
_atom_site_fract_z
P1 P 0.099 0.368 0.401
P2 P 0.109 0.831 0.269
P3 P 0.159 0.086 0.937
P4 P 0.227 0.573 0.049
P5 P 0.295 0.296 0.625
P6 P 0.322 0.838 0.714
P7 P 0.678 0.162 0.286
P8 P 0.705 0.704 0.375
P9 P 0.773 0.427 0.951
P10 P 0.841 0.914 0.063
P11 P 0.891 0.169 0.731
P12 P 0.901 0.632 0.599
Ru1 Ru 0.442 0.373 0.172
Ru2 Ru 0.500 0.000 0.500
Ru3 Ru 0.558 0.627 0.828

Copy entry 1 word for word.
# ZrPRh | the Materials Project | PBE-GGA | relaxed
# **Density**: 8.03 Mg/m³
# **Energy relative to the elements**: -370 kJ/mol of formula units
# **Final energy**: -8.3865 eV/atom
data_ZrPRh
_cell_length_a 6.537
_cell_length_b 3.818
_cell_length_c 7.459
_cell_angle_alpha 90.00
_cell_angle_beta 90.00
_cell_angle_gamma 90.00
_space_group_name_H-M_alt 'P 1'
_space_group_IT_number 1
loop_
_space_group_symop_operation_xyz
'x,y,z'
loop_
_atom_site_label
_atom_site_type_symbol
_atom_site_fract_x
_atom_site_fract_y
_atom_site_fract_z
Zr1 Zr 0.027 0.250 0.180
Zr2 Zr 0.473 0.750 0.680
Zr3 Zr 0.527 0.250 0.320
Zr4 Zr 0.973 0.750 0.820
P1 P 0.239 0.750 0.378
P2 P 0.261 0.250 0.878
P3 P 0.739 0.750 0.122
P4 P 0.761 0.250 0.622
Rh1 Rh 0.144 0.250 0.562
Rh2 Rh 0.356 0.750 0.062
Rh3 Rh 0.644 0.250 0.938
Rh4 Rh 0.856 0.750 0.438